DFT (meta-GGA r2SCAN) results for a relaxed structure of LiMg.

electronic total energy = -3.29 eV per atom
space-group type = No. 156

Lattice parameters (Å, degrees): 3.115 3.115 15.169 90.00 90.00 120.00
Fractional positions:
Li (0.000, 0.000, 0.000)
Li (0.000, 0.000, 0.336)
Li (0.667, 0.333, 0.838)
Mg (0.000, 0.000, 0.672)
Mg (0.667, 0.333, 0.171)
Mg (0.667, 0.333, 0.500)